Ti3Au: optimized geometry, r2SCAN.

Energy of formation (eV per atom): -0.386
Total DFT energy (no corrections) (eV/atom): -22.736

CIF file:
```
data_Ti3Au
_chemical_formula_sum 'Ti6 Au2'
_space_group_name_H-M_alt 'P m -3 n'
_space_group_IT_number 223
_space_group_name_Hall '-P 4n 2 3'
_cell_length_a 5.0860
_cell_length_b 5.0860
_cell_length_c 5.0860
_cell_angle_alpha 90.00
_cell_angle_beta 90.00
_cell_angle_gamma 90.00
loop_
_atom_site_label
_atom_site_fract_x
_atom_site_fract_y
_atom_site_fract_z
_atom_site_occupancy
Ti1 0.0000 0.2500 0.5000 1
Au1 0.0000 0.0000 0.0000 1
```

---

KLiO: optimized geometry, r2SCAN.

Energy of formation (eV per atom): -1.593
Total DFT energy (no corrections) (eV/atom): -6.385

CIF file:
```
data_KLiO
_chemical_formula_sum 'K8 Li8 O8'
_space_group_name_H-M_alt 'C m c e'
_space_group_IT_number 64
_space_group_name_Hall '-C 2ac 2'
_cell_length_a 8.5728
_cell_length_b 6.3673
_cell_length_c 6.3967
_cell_angle_alpha 90.00
_cell_angle_beta 90.00
_cell_angle_gamma 90.00
loop_
_atom_site_label
_atom_site_fract_x
_atom_site_fract_y
_atom_site_fract_z
_atom_site_occupancy
K1 0.1776 0.0000 0.0000 1
Li1 0.0000 0.1263 0.3740 1
O1 0.0000 0.1689 0.6673 1
```

---

Theoretical density
In order: 8.60, 2.36
Unit: g/cm3